(1)
Na6CaSi2Ge3P4O24 | PBE | optimized geometry

Unit cell a=8.850 b=8.860 c=21.856 alpha=90.44 beta=90.05 gamma=120.32
Sites, in units of the cell vectors:
P (0.015, 0.304, 0.251)
O (0.506, 0.841, 0.069)
P (0.662, 0.029, 0.081)
Na (0.000, 0.000, 0.999)
Ca (0.001, 0.000, 0.355)
O (0.804, 0.986, 0.424)
P (0.363, 0.335, 0.079)
P (0.295, 0.990, 0.253)
O (0.518, 0.383, 0.423)
Ge (0.002, 0.990, 0.647)
O (0.793, 0.960, 0.692)
Na (0.328, 0.666, 0.666)
O (0.532, 0.814, 0.757)
Na (0.654, 0.334, 0.327)
O (0.155, 0.500, 0.570)
O (0.509, 0.157, 0.926)
O (0.482, 0.092, 0.635)
O (0.124, 0.621, 0.358)
O (0.626, 0.156, 0.426)
O (0.340, 0.497, 0.070)
Na (0.024, 0.340, 0.084)
Na (0.989, 0.630, 0.243)
O (0.911, 0.373, 0.642)
O (0.985, 0.167, 0.586)
O (0.489, 0.620, 0.855)
O (0.187, 0.711, 0.756)
O (0.986, 0.205, 0.310)
Na (0.968, 0.670, 0.918)
Ca (0.664, 0.332, 0.174)
O (0.040, 0.835, 0.695)
O (0.285, 0.823, 0.971)
Si (0.341, 0.960, 0.916)
O (0.822, 0.836, 0.910)
O (0.532, 0.700, 0.975)
O (0.188, 0.488, 0.255)
O (0.990, 0.815, 0.811)
O (0.702, 0.167, 0.030)
Ge (0.010, 0.000, 0.147)
O (0.293, 0.809, 0.252)
O (0.857, 0.545, 0.753)
O (0.471, 0.384, 0.136)
Na (0.647, 0.011, 0.245)
O (0.172, 0.461, 0.973)
O (0.788, 0.829, 0.194)
Ge (0.337, 0.666, 0.521)
O (0.035, 0.208, 0.192)
O (0.927, 0.533, 0.144)
O (0.830, 0.540, 0.025)
O (0.027, 0.812, 0.420)
O (0.491, 0.875, 0.357)
O (0.700, 0.533, 0.524)
O (0.283, 0.466, 0.755)
O (0.328, 0.840, 0.570)
P (0.974, 0.338, 0.583)
O (0.628, 0.079, 0.143)
O (0.156, 0.192, 0.695)
Na (0.328, 0.667, 0.161)
P (0.693, 0.704, 0.251)
Ge (0.666, 0.332, 0.486)
Ge (0.999, 0.001, 0.859)
O (0.857, 0.329, 0.245)
P (0.273, 0.282, 0.754)
O (0.839, 0.294, 0.527)
Si (0.664, 0.631, 0.585)
O (0.167, 0.654, 0.069)
O (0.514, 0.833, 0.478)
O (0.447, 0.298, 0.022)
Ca (0.659, 0.328, 0.685)
O (0.313, 0.479, 0.475)
O (0.447, 0.149, 0.522)
Si (0.620, 0.670, 0.915)
O (0.225, 0.009, 0.314)
O (0.701, 0.152, 0.753)
O (0.514, 0.704, 0.254)
Ge (0.334, 0.674, 0.818)
O (0.640, 0.493, 0.923)
Ge (0.330, 0.671, 0.011)
O (0.789, 0.778, 0.311)
O (0.184, 0.175, 0.812)
O (0.481, 0.139, 0.246)
Ge (0.338, 0.670, 0.314)
Si (0.041, 0.376, 0.915)
O (0.851, 0.364, 0.924)
O (0.190, 0.210, 0.419)
Na (0.627, 0.617, 0.746)
P (0.048, 0.652, 0.419)
O (0.837, 0.018, 0.085)
O (0.166, 0.676, 0.473)
P (0.019, 0.729, 0.754)
P (0.714, 0.988, 0.754)
Ge (0.671, 0.338, 0.977)
O (0.182, 0.021, 0.589)
P (0.361, 0.029, 0.581)
Na (0.654, 0.309, 0.834)
O (0.862, 0.482, 0.424)
O (0.672, 0.525, 0.244)
P (0.347, 0.395, 0.419)
O (0.027, 0.184, 0.910)
O (0.381, 0.876, 0.855)
O (0.456, 0.310, 0.754)
O (0.377, 0.508, 0.361)
Na (0.666, 0.974, 0.586)
Si (0.611, 0.960, 0.421)
O (0.174, 0.168, 0.087)
O (0.843, 0.833, 0.588)
O (0.499, 0.667, 0.574)
O (0.124, 0.506, 0.855)
Na (0.335, 0.301, 0.918)
Na (0.714, 0.680, 0.417)
O (0.834, 0.012, 0.808)
O (0.624, 0.535, 0.648)
Si (0.979, 0.640, 0.082)
O (0.167, 0.962, 0.197)
Na (0.327, 0.038, 0.414)
Na (0.993, 0.373, 0.749)
Na (0.961, 0.285, 0.416)
O (0.166, 0.983, 0.910)
Na (0.005, 0.001, 0.503)
Na (0.662, 0.687, 0.081)
O (0.978, 0.828, 0.089)

Values from the calculation:
electronic total energy: -0.240 Ha/atom
space group: P1

---

(2)
Na7CaSi3Ge3P3O24 | PBE | optimized geometry

Unit cell a=8.881 b=8.895 c=21.876 alpha=89.39 beta=90.43 gamma=119.79
Sites, in units of the cell vectors:
O (0.297, 0.815, 0.252)
Si (0.036, 0.374, 0.916)
O (0.794, 0.827, 0.191)
Ge (0.989, 0.995, 0.858)
O (0.185, 0.483, 0.252)
Si (0.044, 0.655, 0.420)
Na (0.333, 0.299, 0.917)
O (0.384, 0.507, 0.355)
O (0.831, 0.289, 0.526)
O (0.194, 0.711, 0.758)
Si (0.366, 0.336, 0.081)
Ge (0.339, 0.663, 0.013)
O (0.468, 0.099, 0.641)
Ge (0.001, 0.007, 0.146)
O (0.029, 0.184, 0.910)
Si (0.975, 0.335, 0.584)
O (0.183, 0.198, 0.419)
Na (0.008, 0.008, 0.499)
Si (0.011, 0.726, 0.754)
P (0.366, 0.034, 0.582)
O (0.168, 0.467, 0.973)
Ge (0.323, 0.663, 0.818)
O (0.123, 0.495, 0.854)
P (0.291, 0.990, 0.250)
P (0.275, 0.285, 0.754)
O (0.161, 0.202, 0.696)
Si (0.625, 0.666, 0.915)
Ge (0.670, 0.328, 0.479)
O (0.799, 0.980, 0.421)
O (0.335, 0.502, 0.070)
O (0.305, 0.839, 0.973)
O (0.127, 0.618, 0.357)
O (0.180, 0.014, 0.586)
Na (0.378, 0.007, 0.747)
O (0.455, 0.304, 0.751)
O (0.608, 0.074, 0.145)
P (0.970, 0.635, 0.080)
Ge (0.334, 0.666, 0.320)
Na (0.027, 0.690, 0.584)
P (0.663, 0.632, 0.583)
Na (0.372, 0.363, 0.247)
O (0.818, 0.840, 0.910)
O (0.712, 0.181, 0.028)
O (0.916, 0.386, 0.645)
O (0.168, 0.691, 0.479)
O (0.845, 0.357, 0.924)
Ca (0.998, 0.000, 0.357)
P (0.010, 0.304, 0.250)
Na (0.026, 0.336, 0.080)
P (0.335, 0.956, 0.916)
P (0.713, 0.990, 0.753)
O (0.492, 0.625, 0.856)
O (0.528, 0.378, 0.426)
O (0.537, 0.696, 0.976)
O (0.620, 0.146, 0.423)
Na (0.992, 0.633, 0.250)
O (0.685, 0.145, 0.750)
O (0.471, 0.393, 0.143)
Ca (0.664, 0.330, 0.174)
O (0.677, 0.527, 0.244)
O (0.852, 0.474, 0.425)
Na (0.714, 0.678, 0.417)
O (0.532, 0.819, 0.758)
O (0.919, 0.537, 0.141)
O (0.166, 0.509, 0.574)
O (0.700, 0.541, 0.528)
O (0.498, 0.139, 0.921)
O (0.517, 0.834, 0.480)
Ge (0.008, 0.006, 0.647)
O (0.464, 0.292, 0.024)
O (0.171, 0.964, 0.191)
O (0.794, 0.961, 0.693)
O (0.801, 0.782, 0.308)
O (0.044, 0.843, 0.690)
Na (0.988, 0.992, 0.997)
Na (0.327, 0.651, 0.664)
Na (0.339, 0.669, 0.164)
O (0.345, 0.849, 0.576)
O (0.520, 0.703, 0.251)
Si (0.348, 0.388, 0.420)
O (0.153, 0.660, 0.067)
O (0.841, 0.014, 0.088)
O (0.837, 0.816, 0.586)
O (0.980, 0.201, 0.307)
Na (0.312, 0.974, 0.083)
P (0.700, 0.708, 0.250)
Na (0.631, 0.620, 0.749)
O (0.366, 0.873, 0.858)
O (0.310, 0.481, 0.475)
Na (0.666, 0.974, 0.580)
O (0.491, 0.871, 0.357)
O (0.508, 0.666, 0.574)
O (0.457, 0.155, 0.526)
Ca (0.672, 0.339, 0.683)
O (0.844, 0.536, 0.755)
O (0.036, 0.212, 0.191)
O (0.191, 0.175, 0.812)
Na (0.966, 0.286, 0.417)
O (0.174, 0.982, 0.912)
Si (0.608, 0.954, 0.420)
O (0.633, 0.484, 0.924)
O (0.976, 0.149, 0.591)
O (0.630, 0.539, 0.643)
O (0.983, 0.827, 0.811)
Na (0.666, 0.334, 0.333)
O (0.855, 0.333, 0.243)
O (0.293, 0.470, 0.756)
O (0.833, 0.543, 0.029)
O (0.834, 0.028, 0.808)
Ge (0.330, 0.659, 0.518)
O (0.983, 0.818, 0.086)
Na (0.992, 0.375, 0.747)
Si (0.661, 0.029, 0.081)
Na (0.639, 0.008, 0.247)
Na (0.660, 0.688, 0.084)
Ge (0.672, 0.334, 0.979)
O (0.473, 0.147, 0.245)
O (0.215, 0.016, 0.307)
O (0.490, 0.837, 0.068)
O (0.175, 0.154, 0.088)
O (0.016, 0.818, 0.420)
Na (0.320, 0.033, 0.418)
Na (0.683, 0.341, 0.836)

Values from the calculation:
electronic total energy: -0.238 Ha/atom
space group: P1

---

(3)
Na7Ca2SiGe2P5O24 | PBE | optimized geometry

Unit cell a=9.115 b=9.126 c=21.878 alpha=89.89 beta=90.06 gamma=119.77
Sites, in units of the cell vectors:
Ca (0.001, 0.000, 0.651)
Ge (0.677, 0.335, 0.184)
O (0.196, 0.211, 0.094)
Na (0.006, 0.366, 0.753)
O (0.530, 0.653, 0.255)
P (0.644, 0.955, 0.417)
O (0.555, 0.676, 0.856)
O (0.539, 0.705, 0.973)
O (0.141, 0.183, 0.416)
O (0.808, 0.523, 0.749)
O (0.681, 0.138, 0.423)
O (0.873, 0.491, 0.141)
Si (0.973, 0.626, 0.080)
P (0.308, 0.020, 0.249)
Na (0.021, 0.697, 0.584)
O (0.322, 0.449, 0.355)
O (0.286, 0.832, 0.972)
O (0.481, 0.292, 0.747)
O (0.041, 0.858, 0.411)
O (0.873, 0.326, 0.524)
Na (0.353, 0.686, 0.168)
O (0.874, 0.533, 0.421)
Si (0.373, 0.026, 0.579)
Ca (0.333, 0.665, 0.818)
Ge (0.343, 0.675, 0.518)
O (0.206, 0.161, 0.804)
O (0.182, 0.988, 0.585)
O (0.800, 0.003, 0.090)
P (0.640, 0.686, 0.915)
O (0.210, 0.047, 0.306)
Ge (0.326, 0.659, 0.018)
O (0.123, 0.667, 0.355)
O (0.864, 0.324, 0.922)
O (0.161, 0.627, 0.077)
O (0.708, 0.200, 0.744)
O (0.150, 0.522, 0.579)
Ge (0.001, 0.009, 0.851)
Na (0.967, 0.659, 0.923)
O (0.461, 0.328, 0.418)
O (0.007, 0.218, 0.191)
P (0.380, 0.349, 0.086)
O (0.817, 0.858, 0.917)
O (0.838, 0.794, 0.302)
O (0.711, 0.515, 0.248)
O (0.777, 0.982, 0.686)
O (0.778, 0.775, 0.187)
O (0.385, 0.527, 0.079)
O (0.960, 0.794, 0.808)
Ge (0.991, 0.993, 0.351)
O (0.809, 0.295, 0.247)
O (0.623, 0.502, 0.645)
O (0.496, 0.378, 0.145)
P (0.044, 0.356, 0.916)
O (0.215, 0.002, 0.190)
O (0.468, 0.129, 0.922)
Na (0.690, 0.033, 0.919)
O (0.485, 0.191, 0.248)
O (0.868, 0.553, 0.019)
Na (0.302, 0.980, 0.085)
O (0.504, 0.126, 0.640)
O (0.960, 0.171, 0.308)
O (0.018, 0.794, 0.692)
P (0.314, 0.361, 0.414)
P (0.972, 0.351, 0.582)
O (0.127, 0.466, 0.257)
O (0.011, 0.817, 0.087)
Na (0.299, 0.315, 0.582)
Ge (0.659, 0.317, 0.684)
O (0.530, 0.880, 0.363)
Na (0.354, 0.362, 0.253)
O (0.676, 0.124, 0.022)
O (0.480, 0.853, 0.079)
O (0.449, 0.305, 0.032)
O (0.331, 0.881, 0.855)
Na (0.341, 0.674, 0.668)
O (0.170, 0.716, 0.471)
O (0.795, 0.798, 0.592)
Na (0.011, 0.643, 0.252)
P (0.304, 0.287, 0.749)
O (0.332, 0.465, 0.757)
O (0.447, 0.132, 0.518)
Ca (0.344, 0.674, 0.314)
O (0.113, 0.453, 0.857)
Ca (0.996, 0.997, 0.151)
Na (0.664, 0.334, 0.334)
O (0.672, 0.538, 0.920)
Na (0.651, 0.336, 0.835)
O (0.127, 0.657, 0.759)
P (0.982, 0.695, 0.751)
Si (0.707, 0.014, 0.748)
Na (0.685, 0.702, 0.083)
O (0.039, 0.179, 0.913)
P (0.650, 0.031, 0.082)
Na (0.676, 0.976, 0.589)
P (0.979, 0.286, 0.250)
Ca (0.665, 0.338, 0.479)
O (0.476, 0.616, 0.580)
O (0.516, 0.861, 0.755)
O (0.213, 0.223, 0.689)
Na (0.632, 0.647, 0.750)
O (0.158, 0.452, 0.974)
O (0.843, 0.047, 0.808)
Na (0.014, 0.003, 0.001)
O (0.003, 0.202, 0.588)
P (0.313, 0.956, 0.914)
Na (0.969, 0.312, 0.419)
O (0.689, 0.543, 0.531)
Na (0.997, 0.986, 0.501)
O (0.620, 0.127, 0.137)
P (0.711, 0.691, 0.247)
Ca (0.661, 0.335, 0.981)
P (0.652, 0.617, 0.586)
Na (0.021, 0.326, 0.086)
O (0.559, 0.847, 0.478)
Na (0.343, 0.032, 0.421)
O (0.295, 0.459, 0.473)
O (0.373, 0.839, 0.576)
O (0.141, 0.961, 0.913)
O (0.880, 0.377, 0.640)
O (0.327, 0.864, 0.255)
Na (0.354, 0.989, 0.752)
P (0.047, 0.686, 0.413)
O (0.821, 0.960, 0.411)

Values from the calculation:
electronic total energy: -0.236 Ha/atom
space group: P1

---

no.,formation energy (eV per atom),energy with MP2020 corrections (eV/atom)
1,-2.567,-6.94
2,-2.576,-6.88
3,-2.598,-6.84